No. 1
This record from Materials Project describes crystalline Li2CoP2O7 at its relaxed geometry. The functional is GGA+U.

```
Li2CoP2O7
1.0
7.897 0.000 0.000
0.000 18.127 0.000
-0.400 0.000 8.246
Li Co P O
16 8 16 56
Direct
0.093 0.000 0.126
0.114 0.631 0.267
0.155 0.272 0.008
0.187 0.890 0.481
0.332 0.972 0.890
0.352 0.532 0.989
0.382 0.792 0.059
0.386 0.207 0.256
0.614 0.707 0.744
0.618 0.292 0.941
0.648 0.032 0.011
0.668 0.472 0.110
0.813 0.390 0.519
0.845 0.772 0.992
0.886 0.131 0.733
0.907 0.500 0.874
0.093 0.283 0.406
0.111 0.539 0.575
0.417 0.534 0.394
0.422 0.284 0.584
0.578 0.784 0.416
0.583 0.034 0.606
0.889 0.039 0.425
0.907 0.783 0.594
0.049 0.445 0.233
0.065 0.662 0.860
0.102 0.377 0.754
0.234 0.123 0.575
0.262 0.703 0.573
0.381 0.375 0.212
0.446 0.443 0.749
0.447 0.155 0.865
0.553 0.655 0.135
0.554 0.943 0.251
0.619 0.875 0.788
0.738 0.203 0.427
0.766 0.623 0.425
0.898 0.877 0.246
0.935 0.162 0.140
0.951 0.945 0.767
0.011 0.940 0.322
0.013 0.338 0.887
0.035 0.884 0.669
0.036 0.582 0.798
0.047 0.104 0.562
0.077 0.978 0.894
0.078 0.218 0.191
0.114 0.665 0.039
0.122 0.751 0.494
0.149 0.503 0.337
0.175 0.324 0.630
0.203 0.409 0.134
0.229 0.690 0.764
0.265 0.138 0.769
0.270 0.195 0.486
0.273 0.417 0.834
0.275 0.627 0.490
0.320 0.330 0.355
0.346 0.058 0.527
0.367 0.495 0.618
0.409 0.164 0.041
0.430 0.744 0.587
0.441 0.587 0.169
0.450 0.327 0.081
0.454 0.878 0.317
0.456 0.982 0.112
0.486 0.726 0.214
0.499 0.439 0.264
0.501 0.939 0.736
0.514 0.226 0.786
0.544 0.482 0.888
0.546 0.378 0.683
0.550 0.827 0.919
0.559 0.087 0.831
0.570 0.244 0.413
0.591 0.664 0.959
0.633 0.995 0.382
0.654 0.558 0.473
0.680 0.830 0.645
0.725 0.127 0.510
0.727 0.917 0.166
0.730 0.695 0.514
0.735 0.638 0.231
0.771 0.190 0.236
0.797 0.909 0.866
0.825 0.824 0.370
0.851 0.003 0.663
0.878 0.251 0.506
0.886 0.165 0.961
0.922 0.718 0.809
0.923 0.478 0.106
0.953 0.604 0.438
0.964 0.082 0.202
0.965 0.384 0.331
0.987 0.838 0.113
0.989 0.440 0.678
```

As for the symmetry: P2_1, No. 4. The calculated formation energy comes out at -2.43 eV/atom. As for the energy above the most stable polymorph in this dataset: 86.7 meV/atom.


No. 2
This record from Materials Project describes crystalline LiCoP2O7 at its relaxed geometry. The functional is GGA+U.

```
LiCoP2O7
1.0
4.869 0.000 0.000
0.000 8.123 0.000
-2.221 0.000 6.635
Li Co P O
2 2 4 14
Direct
0.178 0.000 0.169
0.822 0.500 0.831
0.217 0.637 0.232
0.783 0.137 0.768
0.214 0.925 0.585
0.399 0.319 0.020
0.601 0.819 0.980
0.786 0.425 0.415
0.056 0.469 0.357
0.130 0.836 0.383
0.185 0.176 0.982
0.249 0.487 0.008
0.397 0.078 0.582
0.400 0.792 0.748
0.401 0.817 0.110
0.599 0.317 0.890
0.600 0.292 0.252
0.603 0.578 0.418
0.751 0.987 0.992
0.815 0.676 0.018
0.870 0.336 0.617
0.944 0.969 0.643
```

As for the symmetry: P2_1, No. 4. The calculated formation energy comes out at -2.32 eV/atom. As for the energy above the most stable polymorph in this dataset: 35.8 meV/atom.


What did we get for total magnetic moment? Answer: 3.0, 0.0 μB/f.u., in the order shown.